No. 1
The following is a GGA-PBE calculation of an optimized crystal structure of KGaO2, from Materials Project.

abc: 5.610 11.251 15.958
angles: 90.00 90.00 90.00
Fractional coordinates of all 64 atoms:
Ga (0.733, 0.991, 0.811)
Ga (0.267, 0.491, 0.689)
Ga (0.278, 0.263, 0.065)
Ga (0.267, 0.009, 0.189)
Ga (0.778, 0.237, 0.935)
Ga (0.722, 0.763, 0.435)
Ga (0.222, 0.763, 0.065)
Ga (0.767, 0.009, 0.311)
Ga (0.233, 0.991, 0.689)
Ga (0.233, 0.509, 0.189)
Ga (0.733, 0.509, 0.311)
Ga (0.722, 0.737, 0.935)
Ga (0.778, 0.263, 0.435)
Ga (0.767, 0.491, 0.811)
Ga (0.222, 0.737, 0.565)
Ga (0.278, 0.237, 0.565)
K (0.257, 0.486, 0.939)
K (0.206, 0.766, 0.316)
K (0.243, 0.514, 0.439)
K (0.743, 0.986, 0.561)
K (0.743, 0.514, 0.061)
K (0.794, 0.266, 0.184)
K (0.706, 0.766, 0.184)
K (0.757, 0.486, 0.561)
K (0.243, 0.986, 0.939)
K (0.706, 0.734, 0.684)
K (0.294, 0.266, 0.316)
K (0.257, 0.014, 0.439)
K (0.794, 0.234, 0.684)
K (0.294, 0.234, 0.816)
K (0.206, 0.734, 0.816)
K (0.757, 0.014, 0.061)
O (0.839, 0.335, 0.843)
O (0.946, 0.519, 0.714)
O (0.054, 0.481, 0.286)
O (0.439, 0.806, 0.490)
O (0.061, 0.306, 0.490)
O (0.355, 0.906, 0.102)
O (0.161, 0.835, 0.657)
O (0.339, 0.335, 0.657)
O (0.161, 0.665, 0.157)
O (0.554, 0.019, 0.714)
O (0.661, 0.835, 0.843)
O (0.855, 0.594, 0.898)
O (0.145, 0.094, 0.602)
O (0.355, 0.594, 0.602)
O (0.561, 0.306, 0.010)
O (0.939, 0.694, 0.510)
O (0.439, 0.694, 0.990)
O (0.645, 0.406, 0.398)
O (0.554, 0.481, 0.214)
O (0.839, 0.165, 0.343)
O (0.446, 0.981, 0.286)
O (0.946, 0.981, 0.214)
O (0.661, 0.665, 0.343)
O (0.339, 0.165, 0.157)
O (0.145, 0.406, 0.102)
O (0.561, 0.194, 0.510)
O (0.446, 0.519, 0.786)
O (0.061, 0.194, 0.990)
O (0.645, 0.094, 0.898)
O (0.939, 0.806, 0.010)
O (0.054, 0.019, 0.786)
O (0.855, 0.906, 0.398)



No. 2
The following is a GGA-PBE calculation of an optimized crystal structure of KGaO2, from Materials Project.

abc: 5.706 11.277 16.056
angles: 90.00 90.00 90.00
Fractional coordinates of all 64 atoms:
O (0.792, 0.324, 0.841)
O (0.412, 0.710, 0.979)
O (0.312, 0.576, 0.588)
O (0.188, 0.076, 0.588)
O (0.188, 0.424, 0.088)
O (0.812, 0.924, 0.412)
O (0.116, 0.977, 0.272)
O (0.088, 0.290, 0.479)
O (0.588, 0.290, 0.021)
O (0.616, 0.523, 0.728)
O (0.884, 0.477, 0.228)
O (0.884, 0.023, 0.728)
O (0.312, 0.924, 0.088)
O (0.688, 0.076, 0.912)
O (0.708, 0.676, 0.341)
O (0.384, 0.477, 0.272)
O (0.412, 0.790, 0.479)
O (0.208, 0.824, 0.659)
O (0.116, 0.523, 0.772)
O (0.208, 0.676, 0.159)
O (0.588, 0.210, 0.521)
O (0.708, 0.824, 0.841)
O (0.292, 0.324, 0.659)
O (0.912, 0.790, 0.021)
O (0.616, 0.977, 0.228)
O (0.812, 0.576, 0.912)
O (0.912, 0.710, 0.521)
O (0.688, 0.424, 0.412)
O (0.792, 0.176, 0.341)
O (0.384, 0.023, 0.772)
O (0.292, 0.176, 0.159)
O (0.088, 0.210, 0.979)
K (0.711, 0.744, 0.683)
K (0.721, 0.997, 0.566)
K (0.221, 0.997, 0.934)
K (0.279, 0.497, 0.934)
K (0.721, 0.503, 0.066)
K (0.289, 0.244, 0.817)
K (0.711, 0.756, 0.183)
K (0.221, 0.503, 0.434)
K (0.211, 0.756, 0.317)
K (0.789, 0.244, 0.683)
K (0.279, 0.003, 0.434)
K (0.779, 0.497, 0.566)
K (0.211, 0.744, 0.817)
K (0.789, 0.256, 0.183)
K (0.779, 0.003, 0.066)
K (0.289, 0.256, 0.317)
Ga (0.319, 0.014, 0.186)
Ga (0.716, 0.732, 0.938)
Ga (0.216, 0.732, 0.562)
Ga (0.681, 0.514, 0.314)
Ga (0.819, 0.486, 0.814)
Ga (0.819, 0.014, 0.314)
Ga (0.784, 0.232, 0.938)
Ga (0.284, 0.232, 0.562)
Ga (0.319, 0.486, 0.686)
Ga (0.181, 0.986, 0.686)
Ga (0.284, 0.268, 0.062)
Ga (0.784, 0.268, 0.438)
Ga (0.216, 0.768, 0.062)
Ga (0.716, 0.768, 0.438)
Ga (0.181, 0.514, 0.186)
Ga (0.681, 0.986, 0.814)



No. 3
The following is a GGA-PBE calculation of an optimized crystal structure of KGaP4O12, from Materials Project.

abc: 10.527 10.527 5.221
angles: 81.25 81.25 72.36
Fractional coordinates of all 36 atoms:
O (0.430, 0.677, 0.711)
O (0.849, 0.427, 0.014)
O (0.785, 0.215, 0.000)
O (0.100, 0.399, 0.699)
O (0.088, 0.343, 0.243)
O (0.343, 0.088, 0.243)
O (0.677, 0.430, 0.711)
O (0.427, 0.849, 0.014)
O (0.573, 0.151, 0.986)
O (0.157, 0.157, 0.602)
O (0.601, 0.900, 0.301)
O (0.292, 0.923, 0.622)
O (0.708, 0.077, 0.378)
O (0.151, 0.573, 0.986)
O (0.923, 0.292, 0.622)
O (0.657, 0.912, 0.757)
O (0.399, 0.100, 0.699)
O (0.843, 0.843, 0.398)
O (0.570, 0.323, 0.289)
O (0.900, 0.601, 0.301)
O (0.215, 0.785, 0.000)
O (0.323, 0.570, 0.289)
O (0.912, 0.657, 0.757)
O (0.077, 0.708, 0.378)
P (0.201, 0.645, 0.164)
P (0.355, 0.799, 0.836)
P (0.931, 0.691, 0.466)
P (0.645, 0.201, 0.164)
P (0.691, 0.931, 0.466)
P (0.309, 0.069, 0.534)
P (0.799, 0.355, 0.836)
P (0.069, 0.309, 0.534)
K (0.593, 0.593, 0.260)
K (0.407, 0.407, 0.740)
Ga (0.500, 0.000, 0.000)
Ga (0.000, 0.500, 0.000)



No. 4
The following is a GGA-PBE calculation of an optimized crystal structure of KGaSe2O6, from Materials Project.

abc: 5.422 7.429 15.245
angles: 90.00 90.00 90.00
Fractional coordinates of all 40 atoms:
O (0.750, 0.071, 0.411)
O (0.505, 0.144, 0.721)
O (0.495, 0.644, 0.779)
O (0.495, 0.856, 0.279)
O (0.997, 0.238, 0.033)
O (0.250, 0.450, 0.663)
O (0.497, 0.738, 0.467)
O (0.995, 0.356, 0.221)
O (0.250, 0.929, 0.589)
O (0.750, 0.950, 0.837)
O (0.497, 0.762, 0.967)
O (0.005, 0.856, 0.279)
O (0.003, 0.762, 0.967)
O (0.997, 0.262, 0.533)
O (0.505, 0.356, 0.221)
O (0.503, 0.238, 0.033)
O (0.503, 0.262, 0.533)
O (0.995, 0.144, 0.721)
O (0.250, 0.571, 0.089)
O (0.005, 0.644, 0.779)
O (0.750, 0.429, 0.911)
O (0.750, 0.550, 0.337)
O (0.250, 0.050, 0.163)
O (0.003, 0.738, 0.467)
Se (0.250, 0.885, 0.477)
Se (0.750, 0.385, 0.023)
Se (0.250, 0.494, 0.775)
Se (0.250, 0.006, 0.275)
Se (0.750, 0.506, 0.225)
Se (0.750, 0.115, 0.523)
Se (0.250, 0.615, 0.977)
Se (0.750, 0.994, 0.725)
Ga (0.250, 0.191, 0.628)
Ga (0.250, 0.309, 0.128)
Ga (0.750, 0.809, 0.372)
Ga (0.750, 0.691, 0.872)
K (0.250, 0.426, 0.389)
K (0.750, 0.926, 0.111)
K (0.250, 0.074, 0.889)
K (0.750, 0.574, 0.611)



Number 1: E_form -212 kJ/mol of atoms. Number 2: E_form -209 kJ/mol of atoms. Number 3: E_form -253 kJ/mol of atoms. Number 4: E_form -164 kJ/mol of atoms.